# NdMn3V4O12

A relaxed structure of NdMn3V4O12 (PBE with a Hubbard U, the Materials Project database).

ΔH_f (0 K) ... -2.50 eV/atom

Structure (CIF):
```
data_NdMn3V4O12
_chemical_formula_sum 'Nd2 Mn6 V8 O24'
_symmetry_space_group_name_H-M 'I m -3'
_symmetry_Int_Tables_number 204
_symmetry_space_group_name_Hall '-I 2 2 3'
_cell_length_a 7.574
_cell_length_b 7.574
_cell_length_c 7.574
_cell_angle_alpha 90.00
_cell_angle_beta 90.00
_cell_angle_gamma 90.00
loop_
_atom_site_label
_atom_site_type_symbol
_atom_site_fract_x
_atom_site_fract_y
_atom_site_fract_z
Nd1 Nd 0.000 0.000 0.000
Mn1 Mn 0.000 0.000 0.500
V1 V 0.250 0.250 0.250
O1 O 0.000 0.296 0.188
```